(1)
Below is an optimized crystal structure of MgSc2Ti2O7, with properties calculated at the PBE level.

```
data_MgSc2Ti2O7
_chemical_formula_sum 'Mg1 Sc2 Ti2 O7'
_cell_length_a 5.629
_cell_length_b 5.629
_cell_length_c 5.379
_cell_angle_alpha 83.68
_cell_angle_beta 96.40
_cell_angle_gamma 65.67
_symmetry_space_group_name_H-M 'P 1'
_symmetry_Int_Tables_number 1
loop_
_symmetry_equiv_pos_as_xyz
'x,y,z'
loop_
_atom_site_label
_atom_site_type_symbol
_atom_site_fract_x
_atom_site_fract_y
_atom_site_fract_z
_atom_site_occupancy
O1 O 0.971 0.404 0.770 1
O2 O 0.064 0.553 0.231 1
O3 O 0.434 0.591 0.749 1
O4 O 0.002 0.003 0.500 1
O5 O 0.552 0.065 0.769 1
O6 O 0.591 0.435 0.251 1
O7 O 0.403 0.973 0.231 1
Ti1 Ti 0.273 0.722 0.389 1
Ti2 Ti 0.721 0.273 0.611 1
Mg1 Mg 0.210 0.213 0.500 1
Sc1 Sc 0.684 0.685 0.000 1
Sc2 Sc 0.332 0.333 0.000 1
```

Output
**Space group**: P1 (1)
**Calculated total energy**: -8.343 eV per atom
**ΔH_f (0 K)**: -3.3525 eV/atom
**Corrected total energy (MP2020 scheme)**: -8.7435 eV/atom

=====

(2)
Below is an optimized crystal structure of MgSeO4, with properties calculated at the PBE level.

```
data_MgSeO4
_chemical_formula_sum 'Mg2 Se2 O8'
_cell_length_a 5.000
_cell_length_b 5.000
_cell_length_c 6.671
_cell_angle_alpha 90.00
_cell_angle_beta 90.00
_cell_angle_gamma 113.22
_symmetry_space_group_name_H-M 'P 1'
_symmetry_Int_Tables_number 1
loop_
_symmetry_equiv_pos_as_xyz
'x,y,z'
loop_
_atom_site_label
_atom_site_type_symbol
_atom_site_fract_x
_atom_site_fract_y
_atom_site_fract_z
_atom_site_occupancy
O1 O 0.758 0.242 0.958 1
O2 O 0.718 0.779 0.250 1
O3 O 0.758 0.242 0.542 1
O4 O 0.282 0.221 0.750 1
O5 O 0.779 0.718 0.750 1
O6 O 0.242 0.758 0.042 1
O7 O 0.221 0.282 0.250 1
O8 O 0.242 0.758 0.458 1
Se1 Se 0.651 0.349 0.750 1
Se2 Se 0.349 0.651 0.250 1
Mg1 Mg 0.000 0.000 0.500 1
Mg2 Mg 0.000 0.000 0.000 1
```

Output
**Space group**: Cmcm (63)
**Calculated total energy**: -5.562 eV per atom
**ΔH_f (0 K)**: -1.8723 eV/atom
**Corrected total energy (MP2020 scheme)**: -6.0203 eV/atom

=====

(3)
Below is an optimized crystal structure of MgSeO9, with properties calculated at the PBE level.

```
data_MgSeO9
_chemical_formula_sum 'Mg1 Se1 O9'
_cell_length_a 5.390
_cell_length_b 5.390
_cell_length_c 5.390
_cell_angle_alpha 95.54
_cell_angle_beta 95.54
_cell_angle_gamma 95.54
_symmetry_space_group_name_H-M 'P 1'
_symmetry_Int_Tables_number 1
loop_
_symmetry_equiv_pos_as_xyz
'x,y,z'
loop_
_atom_site_label
_atom_site_type_symbol
_atom_site_fract_x
_atom_site_fract_y
_atom_site_fract_z
_atom_site_occupancy
O1 O 0.235 0.618 0.528 1
O2 O 0.981 0.589 0.920 1
O3 O 0.040 0.045 0.411 1
O4 O 0.411 0.040 0.045 1
O5 O 0.528 0.235 0.618 1
O6 O 0.045 0.411 0.040 1
O7 O 0.589 0.920 0.981 1
O8 O 0.618 0.528 0.235 1
O9 O 0.920 0.981 0.589 1
Mg1 Mg 0.998 0.998 0.998 1
Se1 Se 0.506 0.506 0.506 1
```

Output
**Space group**: R3 (146)
**Calculated total energy**: -4.820 eV per atom
**ΔH_f (0 K)**: -0.4401 eV/atom
**Corrected total energy (MP2020 scheme)**: -4.9517 eV/atom

=====

Among the records above, which one has the lowest corrected total energy (MP2020 scheme)? MgSc2Ti2O7

=====

Which value of ΔH_f (0 K) does entry 3 give? -0.4401 eV/atom

=====

The highest calculated total energy belongs to which entry? MgSeO9